# 1
First-principles (PBE-GGA) data for an optimized crystal structure of Na4MgZr3Si3S3O24, as listed in the Materials Project database. Values from VASP.

## Properties
Calculated formation energy ... -10210 kJ/mol of formula units
Total moment ... 0.000 μB/cell
Crystal system ... triclinic

```
&SYSTEM
  ibrav = 0, nat = 114, ntyp = 6
/
ATOMIC_SPECIES
Na 22.99 Na.upf
O 16.00 O.upf
Zr 91.22 Zr.upf
S 32.06 S.upf
Si 28.09 Si.upf
Mg 24.30 Mg.upf
CELL_PARAMETERS angstrom
-4.304 -4.995 6.228
7.818 -2.909 -3.563
11.802 10.858 16.780
ATOMIC_POSITIONS angstrom
Na 0.167 -0.595 7.885
Na 3.702 -4.164 8.003
Na 5.794 -2.022 2.460
Na 7.024 -1.109 8.696
Na 7.429 6.245 15.017
Na 11.602 3.589 11.152
Na 3.504 -0.627 8.280
Na 4.102 -0.188 5.316
Na 9.565 4.839 16.941
Na 5.878 5.158 8.115
Na 0.112 -0.051 -0.030
Na 7.399 2.244 17.615
O 5.990 0.663 3.637
O 8.157 -1.072 3.221
O 15.401 4.950 13.467
O 5.427 -4.253 5.336
O 3.894 1.370 2.771
O -1.397 -3.541 4.243
O 3.203 -2.345 1.785
O 11.349 5.298 12.788
O 6.402 4.211 13.221
O 5.564 3.153 7.325
O -2.428 -3.330 6.655
O 7.141 4.071 16.173
O 13.325 7.239 13.451
O 7.561 0.760 11.224
O 12.977 4.923 15.487
O 13.251 3.201 12.802
O 3.384 0.909 10.695
O 11.187 2.036 4.206
O 10.106 4.210 8.790
O 13.652 5.356 11.118
O 9.665 1.862 10.644
O 9.008 6.104 11.975
O 2.386 -1.906 3.990
O 0.838 -2.088 10.440
O 14.476 8.342 15.635
O 6.506 0.671 6.545
O 4.142 0.974 15.279
O 10.089 4.657 19.486
O 9.954 7.196 14.158
O 2.061 -0.223 6.569
O 9.931 7.101 17.983
O 7.904 2.212 8.185
O 13.721 3.529 17.333
O 14.494 5.790 17.198
O 6.236 5.324 11.038
O 9.118 4.741 14.342
O 9.155 -1.571 0.863
O 16.679 6.492 15.244
O 5.740 1.000 9.010
O 1.684 -2.550 8.248
O 11.388 1.555 16.695
O 1.978 -4.403 5.899
O 9.866 0.045 8.189
O 8.896 -1.274 6.106
O 8.802 1.558 4.573
O 6.097 4.537 18.549
O 0.924 -5.449 3.947
O 5.310 -1.179 10.749
O 3.042 -6.261 4.710
O 9.235 2.220 15.813
O 5.383 -1.630 -0.136
O 12.071 1.996 8.810
O 8.909 -2.367 8.587
O 5.131 0.604 13.127
O 14.521 5.062 8.923
O 17.629 6.330 12.783
O 5.371 -4.104 1.443
O 6.108 -1.784 5.054
O -0.131 -1.988 6.072
O 9.615 -0.050 12.150
O 10.226 2.381 6.381
O 1.557 -0.589 2.103
O 6.285 -2.960 7.544
O 12.323 0.738 13.098
O 12.158 5.345 17.691
O 8.745 2.133 12.856
O 12.193 9.292 14.749
O 3.913 -2.315 6.528
O 5.449 3.070 11.294
O 6.509 1.519 14.917
O 3.050 2.185 6.261
O 0.890 -2.896 2.318
Zr 11.116 6.404 19.478
Zr 9.795 1.968 8.436
Zr 5.227 -6.204 5.143
Zr 13.396 5.220 13.452
Zr 10.242 9.168 14.339
Zr 7.512 -0.322 5.045
Zr 5.320 0.973 10.941
Zr 3.449 2.072 17.057
Zr 4.092 -3.416 -0.018
S 1.745 -5.647 5.158
S 9.965 2.402 4.911
S 5.426 0.594 14.580
S 0.941 -3.112 9.400
S 8.879 1.186 11.751
S 5.603 4.385 12.006
S 2.001 -1.937 2.568
S 13.347 4.903 16.954
S 10.079 1.093 16.248
Si 13.629 8.634 14.289
Si 5.423 -2.823 6.190
Si -1.553 -2.491 5.528
Si 16.878 5.506 13.962
Si 9.693 -1.474 7.530
Si 5.825 4.627 16.946
Si 9.882 5.754 13.365
Si 1.748 1.288 6.037
Si 6.354 1.840 7.685
Mg 7.870 3.207 14.480
Mg 1.856 -2.171 5.982
Mg 4.163 3.763 5.929
```



# 2
First-principles (PBE-GGA) data for an optimized crystal structure of Ho5Sn3, as listed in the Materials Project database. Values from VASP.

## Properties
Calculated formation energy ... -552 kJ/mol of formula units
Crystal system ... hexagonal

```
&SYSTEM
  ibrav = 0, nat = 16, ntyp = 2
/
ATOMIC_SPECIES
Ho 164.93 Ho.upf
Sn 118.71 Sn.upf
CELL_PARAMETERS angstrom
-3.251 0.547 -8.294
-3.716 -5.581 5.891
-4.076 4.731 1.910
ATOMIC_POSITIONS angstrom
Ho -5.445 0.870 -2.611
Ho -6.332 -2.656 -1.355
Ho -1.791 1.313 -1.492
Ho -4.712 2.353 0.862
Ho -1.901 -0.142 1.876
Ho -3.406 -1.496 -3.566
Ho -5.600 -1.173 2.118
Ho -3.561 -3.538 1.163
Ho -5.537 3.965 -4.892
Ho -5.891 -0.707 5.925
Sn -4.343 3.764 -1.847
Sn -4.527 1.342 3.762
Sn -7.270 0.505 -0.020
Sn -3.774 -0.808 -0.473
Sn -3.266 -2.191 4.039
Sn -2.985 1.513 -4.537
```



# 3
First-principles (PBE-GGA) data for an optimized crystal structure of KBaAl3Si5O16, as listed in the Materials Project database. Values from VASP.

## Properties
Calculated formation energy ... -8381 kJ/mol of formula units
Total moment ... 0.001 μB/cell
Crystal system ... triclinic

```
&SYSTEM
  ibrav = 0, nat = 26, ntyp = 5
/
ATOMIC_SPECIES
Al 26.98 Al.upf
O 16.00 O.upf
Si 28.09 Si.upf
K 39.10 K.upf
Ba 137.33 Ba.upf
CELL_PARAMETERS angstrom
7.308 0.000 0.000
-1.873 7.666 0.000
-1.891 -3.680 6.766
ATOMIC_POSITIONS angstrom
Al -0.277 5.606 1.309
Al 3.638 -0.158 2.788
Al -0.303 -1.545 5.574
O 1.262 1.813 6.375
O 1.251 4.735 4.717
O -0.059 4.208 2.372
O 5.012 -0.994 2.060
O 3.695 -0.311 4.546
O 3.925 1.566 2.491
O 5.329 -2.058 5.872
O -0.159 2.537 4.292
O 4.959 2.273 0.174
O -1.446 4.857 4.620
O 2.258 2.181 0.451
O -0.104 0.040 4.825
O -1.424 1.684 6.511
O 3.693 4.042 1.766
O 2.098 -0.598 2.120
O 5.354 6.004 0.900
Si -0.125 4.174 3.997
Si -0.136 1.485 5.577
Si 3.673 2.500 1.186
Si 3.800 -1.621 5.475
Si 3.813 5.545 1.118
K 3.689 2.817 4.883
Ba -0.031 1.036 1.953
```



# 4
First-principles (PBE-GGA) data for an optimized crystal structure of Sc, as listed in the Materials Project database. Values from VASP.

## Properties
Excess energy over the best structure of this formula in the dataset ... 47 meV/atom
Calculated formation energy ... 5 kJ/mol of formula units
Crystal system ... cubic

```
&SYSTEM
  ibrav = 0, nat = 1, ntyp = 1
/
ATOMIC_SPECIES
Sc 44.96 Sc.upf
CELL_PARAMETERS angstrom
0.706 1.908 2.555
0.156 3.241 -0.375
-2.310 1.907 1.302
ATOMIC_POSITIONS angstrom
Sc 0.000 0.000 0.000
```